# 1
Density functional theory data (PBE) for a relaxed structure of PrBPt4.

CIF file:
```
data_PrBPt4
_space_group_name_H-M_alt 'P 6/m m m'
_space_group_IT_number 191
_space_group_name_Hall '-P 6 2'
_cell_length_a 5.5210
_cell_length_b 5.5210
_cell_length_c 7.7097
_cell_angle_alpha 90.00
_cell_angle_beta 90.00
_cell_angle_gamma 120.00
loop_
_atom_site_label
_atom_site_type_symbol
_atom_site_fract_x
_atom_site_fract_y
_atom_site_fract_z
Pr1 Pr 0.0000 0.0000 0.0000
Pr2 Pr 0.0000 0.0000 0.5000
B1 B 0.3333 0.6667 0.0000
Pt1 Pt 0.0000 0.5000 0.1991
Pt2 Pt 0.3333 0.6667 0.5000
```

Properties
* total energy: -6.73 eV/atom
* energy relative to the elements: -0.77 eV per atom
* ρ: 15.210 g cm⁻³
* V: 17.0 A^3/atom


# 2
Density functional theory data (PBE) for a relaxed structure of Pr16Re25B24.

CIF file:
```
data_Pr16Re25B24
_space_group_name_H-M_alt 'C 1 2/m 1'
_space_group_IT_number 12
_space_group_name_Hall '-C 2y'
_cell_length_a 11.744
_cell_length_b 10.719
_cell_length_c 15.900
_cell_angle_alpha 90.00
_cell_angle_beta 96.96
_cell_angle_gamma 90.00
loop_
_atom_site_label
_atom_site_type_symbol
_atom_site_fract_x
_atom_site_fract_y
_atom_site_fract_z
Pr1 Pr 0.057 0.242 0.092
Pr2 Pr 0.061 0.249 0.594
Pr3 Pr 0.141 0.500 0.179
Pr4 Pr 0.142 0.500 0.679
Pr5 Pr 0.185 0.000 0.150
Pr6 Pr 0.189 0.000 0.654
Re1 Re 0.000 0.000 0.500
Re2 Re 0.078 0.000 0.335
Re3 Re 0.088 0.000 0.832
Re4 Re 0.094 0.500 0.967
Re5 Re 0.096 0.500 0.467
Re6 Re 0.168 0.234 0.298
Re7 Re 0.171 0.237 0.798
Re8 Re 0.204 0.125 0.460
Re9 Re 0.212 0.125 0.956
B1 B 0.000 0.326 0.249
B2 B 0.001 0.152 0.751
B3 B 0.086 0.413 0.837
B4 B 0.087 0.414 0.337
B5 B 0.174 0.326 0.925
B6 B 0.175 0.325 0.424
```

Properties
* total energy: -8.68 eV/atom
* energy relative to the elements: -0.25 eV per atom
* ρ: 11.984 g cm⁻³
* V: 15.3 A^3/atom


# 3
Density functional theory data (PBE) for a relaxed structure of PrBRh3.

CIF file:
```
data_PrBRh3
_space_group_name_H-M_alt 'P m -3 m'
_space_group_IT_number 221
_space_group_name_Hall '-P 4 2 3'
_cell_length_a 4.277
_cell_length_b 4.277
_cell_length_c 4.277
_cell_angle_alpha 90.00
_cell_angle_beta 90.00
_cell_angle_gamma 90.00
loop_
_atom_site_label
_atom_site_type_symbol
_atom_site_fract_x
_atom_site_fract_y
_atom_site_fract_z
Pr1 Pr 0.000 0.000 0.000
B1 B 0.500 0.500 0.500
Rh1 Rh 0.000 0.500 0.500
```

Properties
* total energy: -7.38 eV/atom
* energy relative to the elements: -0.67 eV per atom
* ρ: 9.774 g cm⁻³
* V: 15.6 A^3/atom